Sb2S6O21: relaxed, r2SCAN.

Calculated values
* formation energy from the elements: -126.5 kJ/mol of atoms
* SG: P-1

Cell lengths 6.6349, 9.6418, 12.3944 Å; angles 87.32, 83.06, 82.80 degrees
Element x y z (fractional)
1 O 0.8475 0.1760 0.9752
2 O 0.1525 0.8240 0.0248
3 O 0.4041 0.9318 0.0980
4 O 0.7793 0.4003 0.3473
5 Sb 0.2812 0.0944 0.2118
6 O 0.3898 0.5278 0.3160
7 S 0.0369 0.7256 0.9546
8 O 0.8137 0.3490 0.1204
9 S 0.3934 0.8015 0.0432
10 O 0.1210 0.4073 0.4026
11 O 0.1863 0.6510 0.8796
12 S 0.2133 0.4738 0.2888
13 O 0.5085 0.7976 0.9377
14 O 0.7850 0.9076 0.3838
15 O 0.0640 0.9410 0.2488
16 S 0.9631 0.2744 0.0454
17 S 0.7867 0.5262 0.7112
18 O 0.4915 0.2024 0.0623
19 O 0.1286 0.7083 0.4817
20 O 0.0140 0.1879 0.3467
21 O 0.6102 0.4722 0.6840
22 O 0.3316 0.3241 0.6062
23 O 0.7986 0.8142 0.2026
24 O 0.2428 0.3659 0.2104
25 O 0.5519 0.8380 0.5357
26 S 0.1578 0.0628 0.7443
27 O 0.0529 0.5878 0.2623
28 O 0.9360 0.0590 0.7512
29 O 0.9860 0.8121 0.6533
30 Sb 0.2617 0.4134 0.7593
31 S 0.8422 0.9372 0.2557
32 Sb 0.7188 0.9056 0.7882
33 S 0.0702 0.6883 0.5937
34 O 0.4297 0.8797 0.3552
35 O 0.0872 0.1552 0.0972
36 O 0.7253 0.0633 0.2249
37 O 0.5959 0.0682 0.9020
38 S 0.6066 0.1985 0.9568
39 S 0.9298 0.3117 0.4063
40 O 0.2207 0.5997 0.6527
41 O 0.5703 0.1203 0.6448
42 O 0.5755 0.3215 0.8895
43 O 0.7572 0.6341 0.7896
44 O 0.9471 0.4122 0.7377
45 O 0.9128 0.8448 0.9028
46 O 0.8790 0.5927 0.5974
47 O 0.0850 0.3530 0.9695
48 O 0.2014 0.1858 0.7974
49 S 0.5830 0.8234 0.4219
50 S 0.4170 0.1766 0.5781
51 O 0.2150 0.0924 0.6162
52 Sb 0.7383 0.5866 0.2407
53 O 0.8714 0.2917 0.5183
54 O 0.2747 0.9367 0.7751
55 O 0.6684 0.6759 0.3938
56 O 0.4245 0.6785 0.1105
57 O 0.4481 0.1620 0.4643
58 O 0.9150 0.6470 0.0305